Entry 1:
This record from the Materials Project describes a relaxed SrCa7Mn6Al2O23 crystal. The functional is GGA+U.

Cell: 10.7405 10.7897 15.1413 Å, 89.94 89.87 89.66°
Atoms (fractional coordinates):
Sr 0.0000 0.0000 0.0000
Sr 0.0091 0.9957 0.7424
Sr 0.2616 0.2463 0.7472
Sr 0.7610 0.7649 0.9987
Ca 0.0058 0.5263 0.4969
Ca 0.0070 0.5209 0.9984
Ca 0.0091 0.0254 0.4950
Ca 0.0104 0.4958 0.7382
Ca 0.0134 0.9799 0.2447
Ca 0.0141 0.4948 0.2529
Ca 0.2522 0.7323 0.2448
Ca 0.2570 0.7299 0.7384
Ca 0.2633 0.7770 0.4962
Ca 0.2642 0.2686 0.4985
Ca 0.2649 0.7702 0.0005
Ca 0.2688 0.2365 0.2487
Ca 0.2824 0.2800 0.9967
Ca 0.5034 0.0220 0.4974
Ca 0.5044 0.5190 0.9967
Ca 0.5054 0.5251 0.4961
Ca 0.5096 0.9869 0.2456
Ca 0.5124 0.4818 0.7446
Ca 0.5157 0.4778 0.2457
Ca 0.5244 0.0267 0.9991
Ca 0.5273 0.9811 0.7458
Ca 0.7481 0.2313 0.7400
Ca 0.7481 0.2332 0.2498
Ca 0.7560 0.2673 0.9895
Ca 0.7575 0.7293 0.2449
Ca 0.7597 0.7341 0.7456
Ca 0.7612 0.2762 0.4964
Ca 0.7650 0.7746 0.4960
Mn 0.0076 0.2550 0.3709
Mn 0.0096 0.2548 0.6167
Mn 0.0104 0.7545 0.3717
Mn 0.0108 0.7508 0.1208
Mn 0.0128 0.7566 0.6207
Mn 0.2567 0.0035 0.3709
Mn 0.2594 0.0080 0.1156
Mn 0.2592 0.5036 0.6181
Mn 0.2595 0.5090 0.8734
Mn 0.2615 0.5028 0.3714
Mn 0.2656 0.5032 0.1231
Mn 0.5059 0.7511 0.1226
Mn 0.5092 0.2513 0.6193
Mn 0.5090 0.2522 0.3708
Mn 0.5099 0.7541 0.3701
Mn 0.5098 0.7558 0.6208
Mn 0.5154 0.7520 0.8706
Mn 0.5178 0.2532 0.8723
Mn 0.7569 0.5030 0.8707
Mn 0.7583 0.5046 0.6202
Mn 0.7586 0.4944 0.1210
Mn 0.7594 0.5033 0.3711
Mn 0.7596 0.0036 0.6196
Mn 0.7607 0.0041 0.3692
Al 0.0283 0.2688 0.1411
Al 0.2585 0.0035 0.6212
Al 0.3027 0.0072 0.8752
Al 0.5151 0.2502 0.1223
Al 0.7431 0.9869 0.1265
Al 0.7671 0.0014 0.8736
Al 0.9872 0.2751 0.8571
Al 0.9903 0.7381 0.8702
O 0.0429 0.7501 0.9911
O 0.0481 0.7447 0.4952
O 0.0498 0.2455 0.4933
O 0.0964 0.1195 0.1231
O 0.1124 0.1091 0.3477
O 0.1175 0.6084 0.1417
O 0.1173 0.6103 0.3529
O 0.1170 0.6108 0.6377
O 0.1171 0.6172 0.8512
O 0.1205 0.1150 0.6304
O 0.1406 0.3275 0.8786
O 0.1485 0.3656 0.6375
O 0.1514 0.8626 0.1360
O 0.1547 0.3604 0.3476
O 0.1556 0.8591 0.3497
O 0.1563 0.8601 0.6336
O 0.1624 0.3611 0.1391
O 0.2183 0.9927 0.9755
O 0.2209 0.4909 0.4949
O 0.2235 0.4978 0.9974
O 0.2277 0.9971 0.4935
O 0.2536 0.0007 0.7640
O 0.2914 0.5017 0.7464
O 0.2920 0.0164 0.2395
O 0.3023 0.5143 0.2473
O 0.3568 0.6523 0.8874
O 0.3617 0.1501 0.3877
O 0.3628 0.6487 0.1032
O 0.3629 0.6490 0.6022
O 0.3649 0.6489 0.3930
O 0.3672 0.1434 0.6083
O 0.3668 0.1451 0.1003
O 0.3759 0.1509 0.8885
O 0.4003 0.8991 0.0944
O 0.4039 0.3968 0.6008
O 0.4037 0.4002 0.8889
O 0.4035 0.8997 0.6087
O 0.4061 0.3978 0.3913
O 0.4071 0.3969 0.1050
O 0.4069 0.9012 0.3881
O 0.4154 0.8930 0.8918
O 0.4653 0.7650 0.2455
O 0.4720 0.7630 0.7463
O 0.4804 0.2586 0.2460
O 0.4864 0.2623 0.7457
O 0.5398 0.7351 0.9967
O 0.5419 0.2512 0.9968
O 0.5461 0.2407 0.4953
O 0.5488 0.7451 0.4952
O 0.6104 0.6039 0.8506
O 0.6133 0.1066 0.3508
O 0.6129 0.6083 0.6411
O 0.6143 0.1075 0.6383
O 0.6142 0.6086 0.3480
O 0.6172 0.6060 0.1434
O 0.6249 0.1127 0.1358
O 0.6258 0.1116 0.8589
O 0.6433 0.8561 0.1408
O 0.6554 0.8582 0.8556
O 0.6564 0.3567 0.1392
O 0.6557 0.3582 0.3536
O 0.6561 0.3585 0.6363
O 0.6566 0.8570 0.6408
O 0.6574 0.8578 0.3477
O 0.6615 0.3550 0.8521
O 0.7186 0.4926 0.9964
O 0.7195 0.4978 0.4951
O 0.7195 0.9915 0.4947
O 0.7485 0.0103 0.0019
O 0.7833 0.0130 0.7464
O 0.7969 0.5109 0.7448
O 0.7985 0.0184 0.2420
O 0.8003 0.5063 0.2451
O 0.8591 0.6409 0.8847
O 0.8628 0.1497 0.3929
O 0.8643 0.1480 0.5996
O 0.8640 0.6490 0.3896
O 0.8652 0.6500 0.6035
O 0.8761 0.6300 0.1019
O 0.8935 0.8887 0.1138
O 0.9007 0.1453 0.8934
O 0.9007 0.4043 0.8912
O 0.9045 0.3998 0.5990
O 0.9054 0.8887 0.8786
O 0.9059 0.4011 0.3933
O 0.9061 0.8999 0.6008
O 0.9083 0.3538 0.0859
O 0.9077 0.9003 0.3898
O 0.9659 0.2653 0.2485
O 0.9742 0.7568 0.2467
O 0.9767 0.2578 0.7415
O 0.9880 0.7607 0.7469

E = -6.93 eV per atom
Energy of formation from the pure elements = -2.67 eV per atom
Total magnetic moment = 72.0 μB per cell

Entry 2:
This record from the Materials Project describes a relaxed Li2CrFe3O8 crystal. The functional is GGA+U.

Cell: 8.4252 8.4273 8.4524 Å, 89.93 89.89 89.71°
Atoms (fractional coordinates):
Li 0.0000 0.0000 0.0000
Li 0.0007 0.4988 0.5002
Li 0.2500 0.7481 0.7476
Li 0.2505 0.2473 0.2472
Li 0.5035 0.4986 0.0004
Li 0.5026 0.9994 0.4993
Li 0.7493 0.7481 0.2471
Li 0.7510 0.2465 0.7467
Cr 0.1255 0.3732 0.8747
Cr 0.3753 0.6227 0.3726
Cr 0.6284 0.1226 0.1234
Cr 0.8732 0.8750 0.6230
Fe 0.1236 0.1213 0.6261
Fe 0.1243 0.8707 0.3745
Fe 0.1245 0.6234 0.1252
Fe 0.3770 0.1251 0.8766
Fe 0.3778 0.3723 0.6239
Fe 0.3800 0.8784 0.1255
Fe 0.6268 0.3749 0.3715
Fe 0.6268 0.8756 0.8750
Fe 0.6278 0.6271 0.6198
Fe 0.8719 0.3704 0.1242
Fe 0.8747 0.1225 0.3726
Fe 0.8760 0.6231 0.8726
O 0.1030 0.8807 0.6159
O 0.1053 0.1155 0.3862
O 0.1181 0.6009 0.8831
O 0.1208 0.3777 0.0928
O 0.1307 0.3694 0.6554
O 0.1344 0.1462 0.8665
O 0.1406 0.8580 0.1342
O 0.1469 0.6283 0.3661
O 0.3542 0.3679 0.8654
O 0.3594 0.1367 0.6338
O 0.3654 0.8516 0.3676
O 0.3705 0.6275 0.1550
O 0.3804 0.6188 0.5932
O 0.3828 0.3949 0.3822
O 0.3900 0.1137 0.1155
O 0.3930 0.8815 0.8842
O 0.6037 0.6159 0.3806
O 0.6136 0.3897 0.6124
O 0.6162 0.8840 0.1121
O 0.6169 0.1064 0.8835
O 0.6335 0.6432 0.8598
O 0.6373 0.3618 0.1334
O 0.6460 0.1336 0.3629
O 0.6463 0.8676 0.6327
O 0.8609 0.8640 0.8603
O 0.8674 0.1370 0.1347
O 0.8692 0.3594 0.3643
O 0.8686 0.6454 0.6315
O 0.8827 0.1037 0.6134
O 0.8846 0.8865 0.3866
O 0.8890 0.6056 0.1142
O 0.8968 0.3820 0.8804

E = -6.40 eV per atom
Energy of formation from the pure elements = -1.82 eV per atom
Total magnetic moment = 56.0 μB per cell

Entry 3:
This record from the Materials Project describes a relaxed CaFe6O4F8 crystal. The functional is GGA+U.

Cell: 6.0801 6.1706 8.0338 Å, 99.05 101.41 115.60°
Atoms (fractional coordinates):
Ca 0.0000 0.0000 0.0000
Fe 0.0179 0.4246 0.7099
Fe 0.1083 0.9820 0.4496
Fe 0.1535 0.6586 0.1488
Fe 0.4781 0.9827 0.8910
Fe 0.4971 0.6140 0.5646
Fe 0.5972 0.3388 0.2624
O 0.1537 0.7257 0.9151
O 0.1781 0.3135 0.5499
O 0.2786 0.0516 0.2646
O 0.9007 0.6398 0.2822
F 0.3400 0.8923 0.6064
F 0.4017 0.5523 0.2844
F 0.4069 0.2708 0.9987
F 0.6051 0.7171 0.8415
F 0.6976 0.3904 0.5278
F 0.7280 0.1115 0.1667
F 0.8401 0.2340 0.8819
F 0.8533 0.8925 0.5946

E = -5.88 eV per atom
Energy of formation from the pure elements = -2.30 eV per atom
Total magnetic moment = 26.0 μB per cell

Entry 4:
This record from the Materials Project describes a relaxed Sr2CaWO6 crystal. The functional is GGA+U.

Cell: 5.9084 8.3751 5.9657 Å, 90.00 90.00 90.00°
Atoms (fractional coordinates):
Sr 0.0000 0.2454 0.0000
Sr 0.0000 0.7546 0.0000
Sr 0.5000 0.2518 0.5256
Sr 0.5000 0.7482 0.5256
Ca 0.0000 0.0000 0.5194
Ca 0.5000 0.5000 0.0435
W 0.0000 0.5000 0.5482
W 0.5000 0.0000 0.0248
O 0.0000 0.2673 0.5579
O 0.0000 0.7327 0.5579
O 0.2228 0.5000 0.7927
O 0.2449 0.5000 0.3336
O 0.2644 0.0000 0.2527
O 0.2692 0.0000 0.7904
O 0.5000 0.2322 0.0321
O 0.5000 0.7678 0.0321
O 0.7308 0.0000 0.7904
O 0.7356 0.0000 0.2527
O 0.7551 0.5000 0.3336
O 0.7772 0.5000 0.7927

E = -6.92 eV per atom
Energy of formation from the pure elements = -2.98 eV per atom
Total magnetic moment = 0.0 μB per cell

Entry 5:
This record from the Materials Project describes a relaxed MnAlO3 crystal. The functional is GGA+U.

Cell: 4.9599 8.3033 4.8740 Å, 90.00 90.00 90.00°
Atoms (fractional coordinates):
Mn 0.0000 0.0000 0.0000
Mn 0.0000 0.5000 0.0000
Mn 0.5000 0.0000 0.5000
Mn 0.5000 0.5000 0.5000
Al 0.0080 0.2500 0.4836
Al 0.4920 0.7500 0.9836
Al 0.5080 0.2500 0.0164
Al 0.9920 0.7500 0.5164
O 0.1672 0.2500 0.1494
O 0.1734 0.0851 0.6607
O 0.1734 0.4149 0.6607
O 0.3266 0.5851 0.1607
O 0.3266 0.9149 0.1607
O 0.3328 0.7500 0.6494
O 0.6672 0.2500 0.3506
O 0.6734 0.0851 0.8393
O 0.6734 0.4149 0.8393
O 0.8266 0.5851 0.3393
O 0.8266 0.9149 0.3393
O 0.8328 0.7500 0.8506

E = -7.38 eV per atom
Energy of formation from the pure elements = -2.57 eV per atom
Total magnetic moment = 16.0 μB per cell

Entry 6:
This record from the Materials Project describes a relaxed LiMn6O4F8 crystal. The functional is GGA+U.

Cell: 4.9662 5.8480 7.9539 Å, 87.27 88.24 88.05°
Atoms (fractional coordinates):
Li 0.0000 0.0000 0.0000
Mn 0.4652 0.5398 0.5258
Mn 0.4783 0.8520 0.1981
Mn 0.5445 0.1481 0.8399
Mn 0.8788 0.6112 0.8432
Mn 0.9782 0.3727 0.1854
Mn 0.9973 0.0403 0.5240
O 0.2986 0.8205 0.4188
O 0.6539 0.8595 0.9718
O 0.6709 0.2757 0.6209
O 0.7964 0.3116 0.9629
F 0.1489 0.6819 0.0861
F 0.1737 0.3398 0.4169
F 0.1875 0.0176 0.7697
F 0.2631 0.5240 0.7487
F 0.2869 0.1456 0.1016
F 0.6571 0.5508 0.2904
F 0.7651 0.7600 0.6144
F 0.7994 0.0476 0.2817

E = -6.50 eV per atom
Energy of formation from the pure elements = -2.52 eV per atom
Total magnetic moment = 27.0 μB per cell

Entry 7:
This record from the Materials Project describes a relaxed PW12O40 crystal. The functional is GGA+U.

Cell: 12.2680 12.2680 12.2680 Å, 90.00 90.00 90.00°
Atoms (fractional coordinates):
P 0.2500 0.2500 0.2500
P 0.7500 0.7500 0.7500
W 0.0401 0.0401 0.2422
W 0.0401 0.2422 0.0401
W 0.0401 0.2578 0.4599
W 0.0401 0.4599 0.2578
W 0.2422 0.0401 0.0401
W 0.2422 0.4599 0.4599
W 0.2578 0.0401 0.4599
W 0.2578 0.4599 0.0401
W 0.4599 0.0401 0.2578
W 0.4599 0.2422 0.4599
W 0.4599 0.2578 0.0401
W 0.4599 0.4599 0.2422
W 0.5401 0.5401 0.7578
W 0.5401 0.7422 0.9599
W 0.5401 0.7578 0.5401
W 0.5401 0.9599 0.7422
W 0.7422 0.5401 0.9599
W 0.7422 0.9599 0.5401
W 0.7578 0.5401 0.5401
W 0.7578 0.9599 0.9599
W 0.9599 0.5401 0.7422
W 0.9599 0.7422 0.5401
W 0.9599 0.7578 0.9599
W 0.9599 0.9599 0.7578
O 0.0038 0.1560 0.3440
O 0.0038 0.3440 0.1560
O 0.0282 0.6270 0.6270
O 0.0282 0.8730 0.8730
O 0.0574 0.0574 0.7307
O 0.0574 0.4426 0.7693
O 0.0574 0.7307 0.0574
O 0.0574 0.7693 0.4426
O 0.1270 0.1270 0.9718
O 0.1270 0.3730 0.5282
O 0.1270 0.5282 0.3730
O 0.1270 0.9718 0.1270
O 0.1560 0.0038 0.3440
O 0.1560 0.1560 0.4962
O 0.1560 0.3440 0.0038
O 0.1560 0.4962 0.1560
O 0.1771 0.1771 0.1771
O 0.1771 0.3229 0.3229
O 0.2307 0.5574 0.9426
O 0.2307 0.9426 0.5574
O 0.2693 0.5574 0.5574
O 0.2693 0.9426 0.9426
O 0.3229 0.1771 0.3229
O 0.3229 0.3229 0.1771
O 0.3440 0.0038 0.1560
O 0.3440 0.1560 0.0038
O 0.3440 0.3440 0.4962
O 0.3440 0.4962 0.3440
O 0.3730 0.1270 0.5282
O 0.3730 0.3730 0.9718
O 0.3730 0.5282 0.1270
O 0.3730 0.9718 0.3730
O 0.4426 0.0574 0.7693
O 0.4426 0.4426 0.7307
O 0.4426 0.7307 0.4426
O 0.4426 0.7693 0.0574
O 0.4718 0.6270 0.8730
O 0.4718 0.8730 0.6270
O 0.4962 0.1560 0.1560
O 0.4962 0.3440 0.3440
O 0.5038 0.6560 0.6560
O 0.5038 0.8440 0.8440
O 0.5282 0.1270 0.3730
O 0.5282 0.3730 0.1270
O 0.5574 0.2307 0.9426
O 0.5574 0.2693 0.5574
O 0.5574 0.5574 0.2693
O 0.5574 0.9426 0.2307
O 0.6270 0.0282 0.6270
O 0.6270 0.4718 0.8730
O 0.6270 0.6270 0.0282
O 0.6270 0.8730 0.4718
O 0.6560 0.5038 0.6560
O 0.6560 0.6560 0.5038
O 0.6560 0.8440 0.9962
O 0.6560 0.9962 0.8440
O 0.6771 0.6771 0.8229
O 0.6771 0.8229 0.6771
O 0.7307 0.0574 0.0574
O 0.7307 0.4426 0.4426
O 0.7693 0.0574 0.4426
O 0.7693 0.4426 0.0574
O 0.8229 0.6771 0.6771
O 0.8229 0.8229 0.8229
O 0.8440 0.5038 0.8440
O 0.8440 0.6560 0.9962
O 0.8440 0.8440 0.5038
O 0.8440 0.9962 0.6560
O 0.8730 0.0282 0.8730
O 0.8730 0.4718 0.6270
O 0.8730 0.6270 0.4718
O 0.8730 0.8730 0.0282
O 0.9426 0.2307 0.5574
O 0.9426 0.2693 0.9426
O 0.9426 0.5574 0.2307
O 0.9426 0.9426 0.2693
O 0.9718 0.1270 0.1270
O 0.9718 0.3730 0.3730
O 0.9962 0.6560 0.8440
O 0.9962 0.8440 0.6560

E = -7.27 eV per atom
Energy of formation from the pure elements = -2.03 eV per atom
Total magnetic moment = 2.1 μB per cell